# 1
MgZr3: optimized geometry, PBE-GGA.

Results
Electronic total energy   -6.78 eV/atom

Geometry as POSCAR:
```
MgZr3
1.0
6.3622 0.0000 0.0000
-3.1811 5.5098 0.0000
0.0000 0.0000 5.1685
Mg Zr
2 6
Cartesian
0.0000 3.6732 1.2921
3.1811 1.8366 3.8764
0.0000 1.8544 3.8764
-1.5752 4.5826 3.8764
1.6059 0.9272 1.2921
1.5752 4.5826 3.8764
4.7562 0.9272 1.2921
3.1811 3.6554 1.2921
```

# 2
Mg7Si4: optimized geometry, PBE-GGA.

Results
Corrected total energy (MP2020 scheme)   -62.9 eV for the cell shown
Electronic total energy   -2.89 eV/atom

Geometry as POSCAR:
```
Mg7Si4
1.0
4.8862 0.0000 0.0000
0.2698 6.0354 0.0000
1.0509 2.7306 14.7323
Mg Si
14 8
Cartesian
0.0000 0.0000 0.0000
1.2170 5.7558 14.6474
1.7283 4.8691 9.7842
2.0298 5.3269 6.6550
1.9565 2.3173 6.6481
2.4190 1.2694 1.3955
2.7648 4.2990 1.7848
3.5522 4.4654 13.0418
3.8152 7.4215 13.3300
4.0217 2.8018 10.5979
4.4537 6.7706 8.2903
4.4218 3.7661 7.8049
4.3054 4.0352 4.7283
4.4073 1.0422 5.2043
1.4656 6.4284 11.9623
1.4854 2.8229 11.9748
1.6228 1.9417 9.4466
2.0635 2.4463 3.9261
2.2892 6.0398 4.0425
4.1077 6.0250 10.8853
4.8026 2.3301 2.5215
5.0041 5.8993 2.6829
```

# 3
In3SnAu12: optimized geometry, PBE-GGA.

Results
Electronic total energy   -3.33 eV/atom

Geometry as POSCAR:
```
In3SnAu12
1.0
4.9018 0.0000 0.0000
0.0000 11.7432 0.0000
0.0000 0.0000 5.3603
In Sn Au
3 1 12
Cartesian
0.0000 0.0000 0.0000
2.4509 2.9273 1.7899
2.4509 8.8159 1.7899
0.0000 5.8716 0.0093
0.0000 1.4745 2.6862
0.0000 2.9063 5.3601
0.0000 4.3743 2.6903
0.0000 7.3689 2.6903
0.0000 8.8369 5.3601
0.0000 10.2686 2.6862
2.4509 0.0000 1.7922
2.4509 1.4512 4.4625
2.4509 4.3992 4.4621
2.4509 5.8716 1.8269
2.4509 7.3440 4.4621
2.4509 10.2919 4.4625
```

# 4
BeC2: optimized geometry, PBE-GGA.

Results
Electronic total energy   -6.55 eV/atom

Geometry as POSCAR:
```
BeC2
1.0
3.3602 0.0000 0.0000
0.0000 3.3602 0.0000
0.0000 0.0000 5.1724
Be C
2 4
Cartesian
0.0000 0.0000 0.0000
1.6801 1.6801 2.5862
0.4441 0.4441 2.5862
1.2360 2.1242 0.0000
2.1242 1.2360 0.0000
2.9161 2.9161 2.5862
```

# 5
SbSO6: optimized geometry, PBE-GGA.

Results
Corrected total energy (MP2020 scheme)   -195.2 eV for the cell shown
Electronic total energy   -5.58 eV/atom

Geometry as POSCAR:
```
SbSO6
1.0
5.8277 0.0000 0.0000
0.0000 13.5309 0.0000
-3.9189 0.0000 5.8326
Sb S O
4 4 24
Cartesian
-1.1410 1.1018 2.3363
-3.1005 5.6637 5.2526
5.0093 7.8672 0.5800
3.0499 12.4291 3.4962
0.1693 9.1928 3.4821
2.1287 11.1036 0.5658
-0.2199 2.4273 5.2667
1.7395 4.3381 2.3504
-3.0899 7.6395 5.3257
-1.1305 12.6568 2.4094
-1.0097 9.9964 3.3921
0.9498 10.3000 0.4758
0.4809 1.4930 1.3964
-1.4785 5.2724 4.3126
0.3098 8.1915 2.3031
-1.6497 12.1049 5.2194
-1.5152 3.1256 5.1797
0.4442 3.6399 2.2634
-0.0948 1.4522 4.0825
1.8647 5.3132 1.1662
0.0442 8.2177 4.6664
2.0036 12.0787 1.7501
1.4646 9.8910 3.5691
3.4240 10.4053 0.6528
3.5585 1.4260 0.6132
1.5990 5.3394 3.5294
3.3873 8.2585 1.5199
1.4279 12.0379 4.4362
0.9591 3.2310 5.3567
2.9185 3.5345 2.4405
3.0393 0.8741 3.4232
4.9987 5.8914 0.5069
```

# 6
Te3MoWS: optimized geometry, PBE-GGA.

Results
Corrected total energy (MP2020 scheme)   -78.9 eV for the cell shown
Electronic total energy   -6.49 eV/atom

Geometry as POSCAR:
```
Te3MoWS
1.0
3.4601 0.0000 0.0000
-1.7301 2.9966 0.0000
0.0000 0.0000 39.2613
Te Mo W S
6 2 2 2
Cartesian
0.0000 0.0000 0.0000
0.0000 0.0000 3.6903
1.7301 0.9989 7.3696
1.7301 0.9989 11.0806
1.7301 0.9989 22.1166
1.7301 0.9989 25.8307
1.7301 0.9989 1.8445
1.7301 0.9989 16.5988
0.0000 0.0000 9.2257
0.0000 0.0000 23.9753
0.0000 0.0000 15.1121
0.0000 0.0000 18.0853
```

# 7
Na4Sr2SiAs4: optimized geometry, PBE-GGA.

Results
Electronic total energy   -3.65 eV/atom

Geometry as POSCAR:
```
Na4Sr2SiAs4
1.0
4.8184 -8.3120 0.0000
4.8184 8.3120 0.0000
-0.1058 0.0000 7.4930
Na Sr Si As
8 4 2 8
Cartesian
4.7655 7.1071 3.7465
5.5461 4.3752 1.4684
5.5428 1.2890 0.1943
7.6088 2.4420 3.8707
5.4899 -1.2890 3.9408
5.4932 -4.3752 5.2149
4.8184 -7.1071 0.0000
7.6617 -2.4420 0.1242
2.6615 0.4258 5.1905
4.7525 3.9818 5.1917
2.7144 -0.4258 1.4440
4.8053 -3.9818 1.4452
2.8015 2.7840 2.3237
2.7486 -2.7840 6.0702
2.6656 2.7155 7.3822
5.5012 6.6836 6.7586
4.7595 1.5863 3.1134
2.7185 -2.7155 3.6357
7.4795 3.2399 6.7999
4.7066 -1.5863 6.8599
7.5324 -3.2399 3.0534
5.5541 -6.6836 3.0121
```

# 8
Ga6Te10Pb: optimized geometry, PBE-GGA.

Results
Electronic total energy   -3.48 eV/atom

Geometry as POSCAR:
```
Ga6Te10Pb
1.0
14.8646 0.0000 0.0000
-7.4323 12.8731 0.0000
0.0000 0.0000 18.0950
Ga Te Pb
36 60 6
Cartesian
-0.4560 1.0837 1.4561
-6.2657 12.7262 7.4878
-5.2448 11.0170 10.8130
1.1665 0.1469 16.6389
-2.7028 7.6345 10.8973
0.5137 2.8224 4.7813
-2.7321 9.5717 1.3501
2.1874 1.8561 13.3137
-0.5296 7.4137 16.6191
-0.6702 7.6597 7.5239
0.5090 5.7212 13.4134
-0.7470 9.6249 4.5558
-0.4637 9.6237 13.5556
1.1339 8.4628 1.4922
2.1720 6.7152 4.8656
1.2766 8.7076 10.5875
4.7002 3.3014 4.6816
0.5307 11.3965 16.9290
4.7295 5.2386 13.2294
2.2231 10.4533 7.3817
6.6853 3.2482 1.4759
7.9630 1.4766 7.1978
6.9686 3.2494 10.5711
6.7621 5.2134 16.6028
6.9027 5.4594 7.5076
9.6554 2.4198 16.7450
8.7089 4.1655 13.5392
8.5662 4.4103 4.5394
4.7311 11.9068 16.8447
7.9413 7.1519 10.7133
12.1634 0.9663 7.2820
9.6043 6.1579 1.1661
6.7218 11.9363 13.5195
7.9460 10.0507 1.2503
6.9762 11.7894 4.5755
14.1541 0.9368 10.6072
-1.8330 3.1748 6.0317
-6.2788 10.8751 15.0792
-4.9430 8.6316 0.0439
-0.5035 1.7408 13.1948
-3.1056 6.9441 8.3354
-1.9330 5.4696 12.2770
-5.6730 12.4387 1.1314
-4.4295 10.9890 8.2671
1.7593 0.4344 4.9002
0.1303 3.5425 2.2354
1.1535 1.9980 9.0475
-2.3470 8.5127 15.0355
-3.2229 10.0693 3.8791
-1.2850 7.3027 1.1339
0.3235 5.0474 15.9424
-0.4877 6.9013 4.9282
3.6660 0.0000 12.0634
3.0028 1.8841 15.8596
-1.2117 9.8448 10.9598
2.4286 4.2766 12.1072
2.4893 4.2415 5.9878
1.2336 6.5842 9.0038
-1.7290 11.8124 0.2136
-0.4655 10.3346 7.1656
4.2094 2.8038 2.1526
5.7033 1.0607 5.8180
1.7505 8.1089 13.1973
2.9713 6.7115 2.3038
1.6994 9.0001 16.9915
0.1343 12.0906 14.3671
1.1134 10.6493 2.9721
5.0853 4.3604 9.0912
4.3267 5.9290 15.7913
6.2206 3.0283 13.1669
7.5665 0.7825 9.7596
6.9668 2.5385 16.9611
3.6620 8.4643 6.2453
2.8994 10.6295 9.9108
6.1473 5.5704 4.8977
5.4993 7.4035 11.8497
8.5457 2.2238 3.0596
2.5144 12.8380 6.0756
9.9467 0.0351 18.0512
6.9446 5.9718 1.1035
4.2992 11.2146 14.2988
5.5993 9.6983 0.0000
9.1317 3.8730 7.1352
10.3317 2.2435 14.2159
9.1828 4.7642 10.9294
7.7558 7.8257 8.1843
8.6659 6.2889 15.1229
12.5575 0.0000 3.0158
11.7315 1.6585 9.8279
6.1765 11.5667 7.1631
7.5626 9.3306 3.7962
6.9288 11.1323 10.9319
11.0943 4.4088 17.8814
10.4036 6.1616 3.7279
13.6088 1.3064 16.9636
9.8609 8.5965 12.0195
-1.3474 4.4433 9.2796
-2.9106 11.8183 15.3113
4.5217 1.0548 8.8154
4.2579 9.4846 3.2479
6.0849 8.4298 14.8471
11.6902 3.3885 2.7837
```

# 9
CsMo3Cl7: optimized geometry, PBE-GGA.

Results
Corrected total energy (MP2020 scheme)   -252.7 eV for the cell shown
Electronic total energy   -5.35 eV/atom

Geometry as POSCAR:
```
CsMo3Cl7
1.0
10.1718 0.0000 0.0000
-5.0859 8.8091 0.0000
0.0000 0.0000 15.0942
Cs Mo Cl
4 12 28
Cartesian
0.0000 0.0000 0.0000
0.0000 0.0000 7.5471
0.0000 5.8727 3.2437
5.0859 2.9364 10.7909
-1.5141 5.7768 9.7500
-0.6921 4.5192 11.8888
-0.8261 7.1488 11.8888
0.8401 4.6094 9.7500
0.6740 7.2319 9.7500
1.5182 5.9501 11.8888
4.2598 1.6602 4.3417
3.5719 3.0323 2.2029
5.7599 1.5772 2.2029
4.3938 4.2899 4.3417
6.6041 2.8590 4.3417
5.9260 4.1996 2.2029
-1.4971 2.8480 5.6487
-3.0551 5.8927 0.8955
-2.8727 5.7352 11.8617
-1.2692 3.2893 9.7773
-1.8709 8.6816 5.6487
-1.6027 8.2636 9.7773
3.2150 0.1275 13.1959
1.5103 3.2169 0.8955
0.0000 5.8727 7.7792
0.0000 5.8727 13.8575
1.5555 3.4537 11.8617
2.0308 2.9164 8.4426
3.4833 0.5455 2.2301
2.2132 3.0739 4.3146
1.3172 8.4293 11.8617
2.8719 6.0652 9.7773
1.5449 8.5086 0.8955
6.4031 0.3798 4.3146
5.0859 2.9364 0.2321
5.0859 2.9364 6.3104
6.6308 0.3005 8.4426
3.3680 6.0886 5.6487
3.8167 5.5197 2.2301
3.5889 5.9611 13.1959
7.9578 2.7438 2.2301
6.6414 5.3554 4.3146
6.5962 5.5922 8.4426
8.4539 2.7205 13.1959
```

# 10
La23Cd4Pt7: optimized geometry, PBE-GGA.

Results
Electronic total energy   -5.31 eV/atom

Geometry as POSCAR:
```
La23Cd4Pt7
1.0
10.2636 0.0000 0.0000
-5.1318 8.8885 0.0000
0.0000 0.0000 23.3459
La Cd Pt
46 8 14
Cartesian
0.0000 0.0000 0.0512
0.0000 0.0000 11.7241
-1.9548 4.7971 2.1835
-1.9126 4.8214 8.5089
0.0000 2.2772 15.0334
-3.1596 7.7499 15.0334
0.0000 3.5576 18.4948
-2.0508 7.1097 18.4948
0.0000 3.6442 22.2747
-1.9758 7.0664 22.2747
0.0000 3.6556 5.3508
-1.9660 7.0607 5.3508
0.0000 3.7475 11.6729
-1.8864 7.0148 11.6729
1.9721 1.1386 3.3604
0.0000 5.9257 15.2527
3.0810 1.7788 6.8218
3.1560 1.8221 10.6018
3.1658 1.8278 17.0238
3.2454 1.8737 0.0000
1.9126 4.8214 8.5089
0.0000 8.1341 8.5089
1.9548 4.7971 2.1835
0.0000 8.1829 2.1835
5.1318 0.7056 13.8564
3.1770 4.0914 13.8564
5.1318 0.7544 20.1818
3.2192 4.0671 20.1818
1.8864 7.0148 11.6729
1.9660 7.0607 5.3508
1.9758 7.0664 22.2747
2.0508 7.1097 18.4948
5.1318 2.9628 3.5798
3.1596 7.7499 15.0334
7.0181 1.8737 0.0000
5.1318 5.1410 0.0000
7.0978 1.8278 17.0238
5.1318 5.2329 17.0238
7.1076 1.8221 10.6018
5.1318 5.2443 10.6018
7.1826 1.7788 6.8218
5.1318 5.3309 6.8218
8.2914 1.1386 3.3604
5.1318 6.6113 3.3604
7.0444 4.0671 20.1818
7.0866 4.0914 13.8564
0.0000 0.0000 6.0173
0.0000 0.0000 17.6902
0.0000 1.8995 8.6734
-3.4868 7.9387 8.6734
1.6450 0.9498 20.3463
3.4868 7.9387 8.6734
8.6185 0.9498 20.3463
5.1318 6.9890 20.3463
-2.2338 4.6360 16.8217
0.0000 2.5249 1.6703
-2.9451 7.6261 1.6703
2.1866 1.2625 13.3432
0.0000 5.9257 20.3209
2.2338 4.6360 16.8217
0.0000 8.5050 16.8217
5.1318 0.3835 5.1488
2.8980 4.2525 5.1488
5.1318 2.9628 8.6479
2.9451 7.6261 1.6703
8.0769 1.2625 13.3432
5.1318 6.3636 13.3432
7.3655 4.2525 5.1488
```